Ta2Zn2NiO8, optimized geometry, DFT PBE with a Hubbard U; magnetic moment = 0.000 Bohr magnetons per cell; uncorrected energy = -96.5 eV/f.u.
1.0
-4.840 1.473 -1.488
1.712 -0.094 -5.662
-5.316 -18.440 -1.284
Ta O Zn Ni
8 32 8 4
Cartesian
-8.143 -15.240 -3.172
-2.749 -6.774 -2.832
-4.551 -16.041 -6.304
-5.670 -10.294 -5.607
-3.790 -11.003 -3.081
-3.868 -1.027 -2.134
-0.276 -1.830 -5.270
-4.629 -6.067 -5.361
-4.518 -15.099 -1.736
-3.773 -5.169 -3.510
-3.302 -7.394 -4.687
-2.051 -5.474 -1.446
-8.777 -16.069 -4.704
0.354 -0.999 -3.737
-0.497 -1.166 -0.862
-6.373 -11.596 -6.993
-6.816 -16.567 -2.498
-3.270 -4.801 -6.171
-4.134 -7.559 -1.883
-1.605 -0.499 -5.944
-7.412 -11.141 -4.510
-4.286 -9.506 -6.558
-5.575 -14.436 -6.983
-3.853 -14.740 -4.919
-4.571 -2.329 -3.520
-2.484 -0.238 -3.086
-6.123 -6.636 -4.103
-5.151 -12.270 -2.277
-6.784 -13.973 -3.982
-5.264 -6.896 -6.893
-3.160 -10.172 -1.548
-4.643 -11.898 -4.928
-2.841 -2.631 -1.456
-1.005 -5.927 -3.926
-2.298 -10.432 -4.334
-3.898 -1.969 -6.700
-5.118 -9.671 -3.754
-1.637 -3.097 -4.466
-7.925 -15.903 -7.576
-5.936 -16.826 -5.356
-3.472 -12.989 -6.060
-1.670 -3.721 -2.587
-4.950 -4.082 -2.383
-4.864 -14.064 -3.363
-1.350 -4.890 -5.552
-7.074 -12.181 -2.885
-3.560 -3.007 -5.074
-6.752 -13.349 -5.856
-2.383 -8.936 -5.894
-6.038 -8.130 -2.548
-7.840 -17.398 -6.020
-5.896 -18.109 -3.706



TbNiO3, optimized geometry, DFT PBE with a Hubbard U; magnetic moment = 2.000 Bohr magnetons per cell; uncorrected energy = -32.9 eV/f.u.; space group = R-3c (167)
1.0
-2.182 -4.516 -1.523
2.076 -2.369 -4.190
2.741 -4.387 0.843
O Ni Tb
6 2 2
Cartesian
3.009 -6.022 -3.324
1.362 -7.258 -1.353
0.239 -6.445 -3.844
1.272 -4.013 -3.516
2.396 -4.826 -1.026
-0.375 -5.250 -1.545
1.317 -5.636 -2.435
0.000 0.000 0.000
1.976 -8.454 -3.652
0.659 -2.818 -1.217



TbNiO3, optimized geometry, DFT PBE with a Hubbard U; uncorrected energy = -33.1 eV/f.u.; space group = Pnma (62)
1.0
5.226 0.000 0.000
0.000 5.578 0.000
0.000 0.000 7.492
O Ni Tb
12 4 4
Cartesian
3.624 1.675 7.113
1.602 3.904 0.379
1.011 1.114 3.367
0.521 2.630 5.619
4.215 4.464 7.113
1.011 1.114 0.379
1.602 3.904 3.367
4.705 2.949 1.873
3.135 0.159 1.873
2.092 5.419 5.619
4.215 4.464 4.125
3.624 1.675 4.125
2.613 0.000 3.746
0.000 2.789 3.746
2.613 0.000 0.000
0.000 2.789 0.000
2.715 3.201 5.619
0.102 5.167 1.873
2.511 2.377 1.873
5.124 0.412 5.619